VASP calculation (PBE) on a relaxed NaSe4O12 crystal.

## Properties
As for the space group: No. 7. The value obtained for the formation energy is -0.9633 eV/atom.

Cell lengths 6.311, 5.411, 20.166 Å; angles 90.00, 99.67, 90.00 degrees
Element x y z (fractional)
Na 0.000 0.219 0.000
Na 0.000 0.781 0.500
Se 0.112 0.071 0.669
Se 0.112 0.929 0.169
Se 0.446 0.097 0.445
Se 0.446 0.903 0.945
Se 0.548 0.357 0.060
Se 0.548 0.643 0.560
Se 0.834 0.478 0.327
Se 0.834 0.522 0.827
O 0.045 0.481 0.291
O 0.045 0.519 0.791
O 0.143 0.079 0.590
O 0.143 0.921 0.090
O 0.193 0.005 0.432
O 0.193 0.995 0.932
O 0.316 0.102 0.729
O 0.316 0.898 0.229
O 0.354 0.489 0.003
O 0.354 0.511 0.503
O 0.471 0.314 0.132
O 0.471 0.686 0.632
O 0.586 0.004 0.887
O 0.586 0.045 0.024
O 0.586 0.955 0.524
O 0.586 0.996 0.387
O 0.593 0.446 0.285
O 0.593 0.554 0.785
O 0.792 0.468 0.061
O 0.792 0.532 0.561
O 0.867 0.491 0.909
O 0.867 0.509 0.409
O 0.871 0.031 0.686
O 0.871 0.969 0.186


VASP calculation (PBE) on a relaxed Cr3Si5 crystal.

## Properties
As for the space group: No. 140. The value obtained for the formation energy is 0.2045 eV/atom.

Cell lengths 6.966, 6.966, 6.966 Å; angles 96.56, 96.56, 140.48 degrees
Element x y z (fractional)
Cr 0.173 0.673 0.846
Cr 0.250 0.250 0.000
Cr 0.327 0.173 0.500
Cr 0.673 0.827 0.500
Cr 0.750 0.750 0.000
Cr 0.827 0.327 0.154
Si 0.070 0.235 0.304
Si 0.235 0.930 0.165
Si 0.250 0.750 0.500
Si 0.265 0.430 0.696
Si 0.430 0.735 0.165
Si 0.570 0.265 0.835
Si 0.735 0.570 0.304
Si 0.750 0.250 0.500
Si 0.765 0.070 0.835
Si 0.930 0.765 0.696


VASP calculation (PBE) on a relaxed Y3AlNi8 crystal.

## Properties
As for the relative energy among the computed polymorphs: 0.000 eV per atom. As for the space group: No. 194. The value obtained for the formation energy is -0.2894 eV/atom.

Cell lengths 5.076, 5.076, 16.555 Å; angles 90.00, 90.00, 120.00 degrees
Element x y z (fractional)
Y 0.000 0.000 0.250
Y 0.000 0.000 0.750
Y 0.333 0.667 0.047
Y 0.333 0.667 0.453
Y 0.667 0.333 0.547
Y 0.667 0.333 0.953
Al 0.333 0.667 0.250
Al 0.667 0.333 0.750
Ni 0.000 0.000 0.000
Ni 0.000 0.000 0.500
Ni 0.174 0.348 0.618
Ni 0.174 0.348 0.882
Ni 0.174 0.826 0.618
Ni 0.174 0.826 0.882
Ni 0.333 0.667 0.750
Ni 0.348 0.174 0.118
Ni 0.348 0.174 0.382
Ni 0.652 0.826 0.618
Ni 0.652 0.826 0.882
Ni 0.667 0.333 0.250
Ni 0.826 0.174 0.118
Ni 0.826 0.174 0.382
Ni 0.826 0.652 0.118
Ni 0.826 0.652 0.382


VASP calculation (PBE) on a relaxed RbUSeO8 crystal.

## Properties
As for the space group: No. 14. The value obtained for the formation energy is -1.8531 eV/atom.

Cell lengths 8.717, 8.334, 11.944 Å; angles 90.00, 109.36, 90.00 degrees
Element x y z (fractional)
Rb 0.063 0.042 0.298
Rb 0.063 0.458 0.798
Rb 0.937 0.542 0.202
Rb 0.937 0.958 0.702
U 0.430 0.091 0.707
U 0.430 0.409 0.207
U 0.570 0.591 0.793
U 0.570 0.909 0.293
Se 0.201 0.732 0.539
Se 0.201 0.768 0.039
Se 0.799 0.232 0.961
Se 0.799 0.268 0.461
O 0.063 0.667 0.596
O 0.063 0.833 0.096
O 0.155 0.710 0.395
O 0.155 0.790 0.895
O 0.227 0.567 0.071
O 0.227 0.933 0.571
O 0.260 0.172 0.748
O 0.260 0.328 0.248
O 0.322 0.225 0.060
O 0.322 0.275 0.560
O 0.385 0.645 0.608
O 0.385 0.855 0.108
O 0.415 0.522 0.854
O 0.415 0.978 0.354
O 0.467 0.651 0.296
O 0.467 0.849 0.796
O 0.533 0.151 0.204
O 0.533 0.349 0.704
O 0.585 0.022 0.646
O 0.585 0.478 0.146
O 0.615 0.145 0.892
O 0.615 0.355 0.392
O 0.678 0.725 0.440
O 0.678 0.775 0.940
O 0.740 0.672 0.752
O 0.740 0.828 0.252
O 0.773 0.067 0.429
O 0.773 0.433 0.929
O 0.845 0.210 0.105
O 0.845 0.290 0.605
O 0.937 0.167 0.904
O 0.937 0.333 0.404


VASP calculation (PBE) on a relaxed Na6Zn3Si2SnS4O24 crystal.

## Properties
As for the space group: No. 1. The value obtained for the formation energy is -2.1530 eV/atom.

Cell lengths 9.033, 9.054, 22.397 Å; angles 90.00, 90.57, 119.78 degrees
Element x y z (fractional)
Na 0.000 0.000 0.000
Na 0.003 0.257 0.487
Na 0.032 0.321 0.833
Na 0.308 0.593 0.339
Na 0.321 0.290 0.914
Na 0.340 0.297 0.410
Na 0.342 0.936 0.164
Na 0.348 0.651 0.658
Na 0.366 0.979 0.494
Na 0.612 0.618 0.492
Na 0.635 0.247 0.001
Na 0.661 0.582 0.820
Na 0.663 0.939 0.581
Na 0.674 0.962 0.080
Na 0.697 0.653 0.174
Na 0.946 0.261 0.159
Na 0.969 0.618 0.252
Na 0.989 0.630 0.745
Zn 0.010 0.611 0.898
Zn 0.318 0.276 0.063
Zn 0.335 0.313 0.565
Zn 0.357 0.290 0.750
Zn 0.638 0.916 0.422
Zn 0.669 0.942 0.727
Zn 0.674 0.965 0.927
Zn 0.686 0.952 0.229
Zn 0.985 0.613 0.391
Si 0.003 0.319 0.990
Si 0.036 0.987 0.157
Si 0.285 0.617 0.492
Si 0.624 0.282 0.156
Si 0.636 0.590 0.661
Si 0.665 0.647 0.327
Sn 0.341 0.279 0.261
Sn 0.990 0.610 0.094
Sn 0.993 0.619 0.596
S 0.000 0.917 0.494
S 0.032 0.283 0.662
S 0.292 0.908 0.992
S 0.327 0.577 0.160
S 0.329 0.989 0.659
S 0.370 0.661 0.827
S 0.370 0.954 0.327
S 0.658 0.242 0.827
S 0.701 0.319 0.493
S 0.702 0.621 0.990
S 0.964 0.247 0.327
S 0.965 0.951 0.829
O 0.017 0.420 0.929
O 0.026 0.835 0.442
O 0.030 0.798 0.154
O 0.032 0.452 0.658
O 0.105 0.258 0.606
O 0.109 0.098 0.098
O 0.133 0.108 0.822
O 0.139 0.260 0.324
O 0.140 0.306 0.715
O 0.159 0.083 0.503
O 0.164 0.591 0.435
O 0.166 0.076 0.215
O 0.168 0.591 0.155
O 0.170 0.296 0.997
O 0.175 0.807 0.658
O 0.176 0.823 0.942
O 0.195 0.640 0.830
O 0.200 0.649 0.555
O 0.203 0.796 0.329
O 0.214 0.812 0.050
O 0.293 0.471 0.215
O 0.300 0.443 0.497
O 0.301 0.067 0.712
O 0.313 0.080 0.995
O 0.337 0.079 0.603
O 0.345 0.108 0.326
O 0.350 0.485 0.826
O 0.355 0.498 0.108
O 0.445 0.752 0.771
O 0.457 0.945 0.273
O 0.461 0.920 0.989
O 0.471 0.980 0.383
O 0.473 0.750 0.166
O 0.475 0.791 0.493
O 0.476 0.456 0.323
O 0.480 0.750 0.879
O 0.482 0.970 0.664
O 0.504 0.262 0.822
O 0.516 0.258 0.095
O 0.523 0.506 0.601
O 0.525 0.290 0.500
O 0.539 0.463 0.996
O 0.545 0.336 0.213
O 0.560 0.483 0.722
O 0.619 0.716 0.388
O 0.643 0.114 0.166
O 0.645 0.153 0.884
O 0.649 0.778 0.665
O 0.674 0.752 0.267
O 0.680 0.151 0.776
O 0.685 0.775 0.987
O 0.696 0.153 0.488
O 0.777 0.432 0.443
O 0.789 0.601 0.937
O 0.808 0.397 0.550
O 0.814 0.418 0.827
O 0.814 0.656 0.046
O 0.820 0.455 0.155
O 0.824 0.129 0.991
O 0.830 0.606 0.656
O 0.830 0.623 0.334
O 0.844 0.955 0.164
O 0.851 0.922 0.777
O 0.852 0.945 0.490
O 0.857 0.142 0.667
O 0.866 0.169 0.272
O 0.882 0.151 0.381
O 0.889 0.978 0.884
O 0.960 0.804 0.549
O 0.966 0.410 0.050
O 0.977 0.793 0.833
O 0.996 0.425 0.328


VASP calculation (PBE) on a relaxed KLiTmF5 crystal.

## Properties
As for the space group: No. 14. The value obtained for the formation energy is -3.8243 eV/atom.

Cell lengths 6.459, 11.854, 6.285 Å; angles 90.00, 114.02, 90.00 degrees
Element x y z (fractional)
K 0.059 0.150 0.043
K 0.059 0.350 0.543
K 0.941 0.650 0.457
K 0.941 0.850 0.957
Li 0.436 0.747 0.536
Li 0.436 0.753 0.036
Li 0.564 0.247 0.964
Li 0.564 0.253 0.464
Tm 0.318 0.502 0.180
Tm 0.318 0.998 0.680
Tm 0.682 0.002 0.320
Tm 0.682 0.498 0.820
F 0.045 0.510 0.829
F 0.045 0.990 0.329
F 0.273 0.692 0.219
F 0.273 0.808 0.719
F 0.294 0.172 0.776
F 0.294 0.328 0.276
F 0.336 0.529 0.547
F 0.336 0.971 0.047
F 0.465 0.103 0.464
F 0.465 0.397 0.964
F 0.535 0.603 0.036
F 0.535 0.897 0.536
F 0.664 0.029 0.953
F 0.664 0.471 0.453
F 0.706 0.672 0.724
F 0.706 0.828 0.224
F 0.727 0.192 0.281
F 0.727 0.308 0.781
F 0.955 0.010 0.671
F 0.955 0.490 0.171


VASP calculation (PBE) on a relaxed Nd2USe5 crystal.

## Properties
As for the space group: No. 62. The value obtained for the formation energy is -1.9192 eV/atom.

Cell lengths 12.426, 8.432, 7.869 Å; angles 90.00, 90.00, 90.00 degrees
Element x y z (fractional)
Nd 0.178 0.002 0.028
Nd 0.178 0.498 0.028
Nd 0.322 0.502 0.528
Nd 0.322 0.998 0.528
Nd 0.678 0.002 0.472
Nd 0.678 0.498 0.472
Nd 0.822 0.502 0.972
Nd 0.822 0.998 0.972
U 0.009 0.750 0.574
U 0.491 0.250 0.074
U 0.509 0.750 0.926
U 0.991 0.250 0.426
Se 0.000 0.250 0.043
Se 0.000 0.750 0.957
Se 0.093 0.044 0.667
Se 0.093 0.456 0.667
Se 0.186 0.750 0.332
Se 0.216 0.250 0.307
Se 0.284 0.750 0.807
Se 0.314 0.250 0.832
Se 0.407 0.544 0.167
Se 0.407 0.956 0.167
Se 0.500 0.250 0.457
Se 0.500 0.750 0.543
Se 0.593 0.044 0.833
Se 0.593 0.456 0.833
Se 0.686 0.750 0.168
Se 0.716 0.250 0.193
Se 0.784 0.750 0.693
Se 0.814 0.250 0.668
Se 0.907 0.544 0.333
Se 0.907 0.956 0.333


VASP calculation (PBE) on a relaxed Cr5As3 crystal.

## Properties
As for the space group: No. 62. The value obtained for the formation energy is -0.0170 eV/atom.

Cell lengths 9.260, 7.399, 6.334 Å; angles 90.00, 90.00, 90.00 degrees
Element x y z (fractional)
Cr 0.016 0.250 0.026
Cr 0.077 0.056 0.701
Cr 0.077 0.444 0.701
Cr 0.208 0.750 0.348
Cr 0.249 0.750 0.806
Cr 0.251 0.250 0.306
Cr 0.292 0.250 0.848
Cr 0.423 0.556 0.201
Cr 0.423 0.944 0.201
Cr 0.484 0.750 0.526
Cr 0.516 0.250 0.474
Cr 0.577 0.056 0.799
Cr 0.577 0.444 0.799
Cr 0.708 0.750 0.152
Cr 0.749 0.750 0.694
Cr 0.751 0.250 0.194
Cr 0.792 0.250 0.652
Cr 0.923 0.556 0.299
Cr 0.923 0.944 0.299
Cr 0.984 0.750 0.974
As 0.006 0.750 0.586
As 0.170 0.515 0.072
As 0.170 0.985 0.072
As 0.330 0.015 0.572
As 0.330 0.485 0.572
As 0.494 0.250 0.086
As 0.506 0.750 0.914
As 0.670 0.515 0.428
As 0.670 0.985 0.428
As 0.830 0.015 0.928
As 0.830 0.485 0.928
As 0.994 0.250 0.414


VASP calculation (PBE) on a relaxed Li8PSe6 crystal.

## Properties
As for the space group: No. 82. The value obtained for the formation energy is -1.1225 eV/atom.

Cell lengths 7.564, 7.564, 7.564 Å; angles 120.79, 120.79, 88.64 degrees
Element x y z (fractional)
Li 0.001 0.657 0.687
Li 0.015 0.377 0.971
Li 0.343 0.031 0.344
Li 0.407 0.045 0.029
Li 0.623 0.593 0.638
Li 0.686 0.999 0.656
Li 0.955 0.985 0.362
Li 0.969 0.314 0.313
P 0.500 0.500 0.000
Se 0.000 0.000 0.000
Se 0.353 0.625 0.742
Se 0.375 0.117 0.729
Se 0.388 0.647 0.271
Se 0.750 0.250 0.500
Se 0.883 0.612 0.258


VASP calculation (PBE) on a relaxed SmCd3 crystal.

## Properties
As for the space group: No. 194. The value obtained for the formation energy is -0.2964 eV/atom.

Cell lengths 6.764, 6.764, 5.027 Å; angles 90.00, 90.00, 120.00 degrees
Element x y z (fractional)
Sm 0.333 0.667 0.250
Sm 0.667 0.333 0.750
Cd 0.161 0.322 0.750
Cd 0.161 0.839 0.750
Cd 0.322 0.161 0.250
Cd 0.678 0.839 0.750
Cd 0.839 0.161 0.250
Cd 0.839 0.678 0.250


VASP calculation (PBE) on a relaxed SmAlCu crystal.

## Properties
As for the space group: No. 74. The value obtained for the formation energy is -0.3501 eV/atom.

Cell lengths 5.454, 5.454, 5.454 Å; angles 119.29, 119.09, 91.41 degrees
Element x y z (fractional)
Sm 0.376 0.126 0.250
Sm 0.624 0.874 0.750
Al 0.000 0.000 0.500
Al 0.000 0.500 0.000
Cu 0.000 0.500 0.500
Cu 0.500 0.500 0.000


| no. | DFT total energy (eV/atom) |
| --- | --- |
| 1 | -4.871 |
| 2 | -6.851 |
| 3 | -6.072 |
| 4 | -6.385 |
| 5 | -5.788 |
| 6 | -5.669 |
| 7 | -6.413 |
| 8 | -7.797 |
| 9 | -3.711 |
| 10 | -2.168 |
| 11 | -4.538 |